(1)
Entry from the Materials Project database: a relaxed YMg6Sb crystal (PBE-GGA).

Output
The value obtained for the energy of formation is -0.162 eV per atom. As for the total magnetic moment: 0.01 Bohr magnetons per cell. Its energy above the most stable polymorph in this dataset is 0.000 eV/f.u.

a b c (Å): 5.382 6.229 11.610
angles (deg): 90.00 90.00 90.00
Sites, in units of the cell vectors:
Y 0.500 0.000 0.171
Y 0.500 0.500 0.671
Mg 0.500 0.248 0.418
Mg 0.500 0.752 0.418
Mg 0.000 0.749 0.078
Mg 0.000 0.251 0.078
Mg 0.000 0.000 0.336
Mg 0.000 0.500 0.336
Mg 0.500 0.748 0.918
Mg 0.500 0.252 0.918
Mg 0.000 0.249 0.578
Mg 0.000 0.751 0.578
Mg 0.000 0.500 0.836
Mg 0.000 0.000 0.836
Sb 0.500 0.500 0.166
Sb 0.500 0.000 0.666

=====

(2)
Entry from the Materials Project database: a relaxed YMg6Sb crystal (PBE-GGA).

Output
The value obtained for the energy of formation is -0.151 eV per atom. As for the total magnetic moment: 0.00 Bohr magnetons per cell. Its energy above the most stable polymorph in this dataset is 0.085 eV/f.u.

a b c (Å): 5.089 6.764 11.278
angles (deg): 90.00 90.00 90.00
Sites, in units of the cell vectors:
Y 0.000 0.500 0.330
Y 0.000 0.000 0.830
Mg 0.000 0.243 0.081
Mg 0.000 0.757 0.081
Mg 0.000 0.500 0.835
Mg 0.500 0.263 0.920
Mg 0.500 0.737 0.920
Mg 0.500 0.500 0.668
Mg 0.000 0.743 0.581
Mg 0.000 0.257 0.581
Mg 0.000 0.000 0.335
Mg 0.500 0.763 0.420
Mg 0.500 0.237 0.420
Mg 0.500 0.000 0.168
Sb 0.500 0.500 0.165
Sb 0.500 0.000 0.665